# 1
## RbPH4O5 (GGA-PBE)

Data for a geometry-optimized RbPH4O5 structure.

Unit cell a=7.341 b=7.829 c=9.576 alpha=90.00 beta=104.07 gamma=90.00
Space group P2_1/c (No. 14)
One atom of each set of equivalent atoms:
Rb  0.180  0.224  0.036 [4 per cell]
P  0.366  0.711  0.158 [4 per cell]
H  0.068  0.520  0.219 [4 per cell]
H  0.119  0.581  0.775 [4 per cell]
H  0.360  0.678  0.449 [4 per cell]
H  0.426  0.502  0.831 [4 per cell]
O  0.007  0.525  0.715 [4 per cell]
O  0.206  0.586  0.109 [4 per cell]
O  0.355  0.634  0.547 [4 per cell]
O  0.377  0.705  0.804 [4 per cell]
O  0.435  0.127  0.341 [4 per cell]

ΔH_f (0 K) in eV per atom: -1.924


# 2
## RbPH3O4 (GGA-PBE)

Data for a geometry-optimized RbPH3O4 structure.

Unit cell a=14.987 b=9.200 c=7.024 alpha=90.00 beta=100.22 gamma=90.00
Space group P2_1/c (No. 14)
One atom of each set of equivalent atoms:
Rb  0.130  0.156  0.113 [4 per cell]
Rb  0.323  0.616  0.908 [4 per cell]
P  0.059  0.568  0.067 [4 per cell]
P  0.486  0.050  0.855 [4 per cell]
H  0.074  0.686  0.795 [4 per cell]
H  0.205  0.562  0.375 [4 per cell]
H  0.309  0.545  0.438 [4 per cell]
H  0.325  0.176  0.569 [4 per cell]
H  0.325  0.211  0.901 [4 per cell]
H  0.494  0.163  0.300 [4 per cell]
O  0.021  0.704  0.149 [4 per cell]
O  0.107  0.608  0.887 [4 per cell]
O  0.124  0.025  0.706 [4 per cell]
O  0.256  0.594  0.477 [4 per cell]
O  0.287  0.213  0.450 [4 per cell]
O  0.383  0.061  0.787 [4 per cell]
O  0.461  0.693  0.641 [4 per cell]
O  0.467  0.059  0.274 [4 per cell]

ΔH_f (0 K) in eV per atom: -1.900